PBE Ba13Ca2Re9Cl3O45, optimized geometry; symmetry = P3; formation energy from the elements = -2.7561 eV per atom; uncorrected energy = -7.454 eV/atom
1.0
0.000 0.000 -7.889
-16.454 9.500 0.000
16.454 9.500 0.000
O Cl Ba Re Ca
90 6 26 18 4
direct
0.778 0.667 0.764
0.241 0.434 0.010
0.776 0.430 0.433
0.254 0.775 0.100
0.572 0.217 0.043
0.778 0.903 0.237
0.776 0.336 0.236
0.778 0.236 0.904
0.254 0.108 0.767
0.755 0.674 0.900
0.242 0.767 0.676
0.062 0.782 0.820
0.776 0.233 0.330
0.382 0.138 0.565
0.066 0.044 0.829
0.240 0.657 0.758
0.061 0.449 0.157
0.888 0.905 0.093
0.887 0.855 0.429
0.572 0.882 0.506
0.775 0.337 0.102
0.066 0.838 0.549
0.755 0.766 0.107
0.378 0.099 0.197
0.572 0.827 0.042
0.066 0.784 0.956
0.382 0.805 0.898
0.066 0.118 0.622
0.254 0.567 0.008
0.755 0.008 0.567
0.888 0.907 0.811
0.888 0.574 0.145
0.066 0.505 0.883
0.572 0.548 0.839
0.775 0.565 0.568
0.775 0.099 0.330
0.572 0.491 0.375
0.254 0.658 0.892
0.887 0.573 0.426
0.240 0.323 0.230
0.378 0.431 0.568
0.572 0.217 0.175
0.570 0.824 0.783
0.382 0.760 0.528
0.060 0.374 0.489
0.572 0.624 0.118
0.755 0.893 0.658
0.240 0.437 0.427
0.572 0.624 0.508
0.062 0.846 0.295
0.570 0.292 0.843
0.382 0.769 0.240
0.240 0.240 0.343
0.066 0.711 0.162
0.242 0.991 0.425
0.378 0.470 0.235
0.569 0.491 0.117
0.888 0.522 0.762
0.060 0.448 0.292
0.242 0.242 0.899
0.382 0.427 0.862
0.242 0.105 0.343
0.572 0.159 0.450
0.572 0.160 0.709
0.572 0.292 0.450
0.778 0.001 0.431
0.887 0.238 0.760
0.061 0.042 0.218
0.063 0.372 0.884
0.242 0.572 0.562
0.569 0.960 0.176
0.778 0.430 0.999
0.755 0.559 0.992
0.382 0.102 0.907
0.061 0.509 0.625
0.060 0.177 0.218
0.570 0.884 0.374
0.240 0.909 0.233
0.887 0.186 0.093
0.755 0.099 0.774
0.063 0.705 0.551
0.063 0.180 0.962
0.572 0.958 0.785
0.254 0.900 0.675
0.063 0.115 0.487
0.569 0.549 0.707
0.887 0.241 0.481
0.778 0.763 0.665
0.242 0.323 0.095
0.254 0.992 0.558
0.549 0.334 0.667
0.549 0.000 0.000
0.051 0.334 0.667
0.549 0.666 0.333
0.051 0.000 0.000
0.051 0.667 0.333
0.767 0.491 0.247
0.766 0.752 0.507
0.767 0.755 0.247
0.510 0.667 0.000
0.267 0.578 0.420
0.515 0.333 0.001
0.510 0.000 0.667
0.267 0.508 0.752
0.766 0.159 0.578
0.267 0.176 0.089
0.267 0.915 0.089
0.010 0.000 0.667
0.268 0.841 0.420
0.268 0.247 0.755
0.268 0.912 0.825
0.767 0.089 0.915
0.515 0.333 0.333
0.767 0.826 0.912
0.515 0.002 0.334
0.767 0.089 0.176
0.515 0.665 0.665
0.267 0.578 0.159
0.767 0.420 0.578
0.767 0.420 0.841
0.010 0.667 0.000
0.268 0.246 0.491
0.718 0.206 0.797
0.200 0.464 0.535
0.718 0.591 0.794
0.206 0.460 0.928
0.718 0.869 0.742
0.718 0.536 0.075
0.206 0.134 0.873
0.206 0.794 0.594
0.723 0.205 0.408
0.206 0.739 0.866
0.718 0.925 0.461
0.718 0.873 0.131
0.200 0.132 0.262
0.723 0.537 0.462
0.200 0.404 0.202
0.723 0.258 0.130
0.206 0.072 0.533
0.206 0.801 0.206
0.024 0.668 0.667
0.024 0.333 0.999
0.024 0.000 0.334
0.024 0.333 0.333